KTaGeO5 | the Materials Project | PBE-GGA | relaxed; MP2020-corrected energy = -514.79 eV per cell; energy of formation = -265.55 kJ per mole of atoms; E = -487.31 eV per cell
1.0
13.607 0.000 0.000
0.000 6.754 0.000
0.000 0.000 11.163
K Ta Ge O
8 8 8 40
Cartesian
1.497 1.421 0.000
1.729 5.225 2.937
5.074 1.848 8.518
5.306 4.798 5.581
8.300 1.956 0.000
8.533 4.906 2.937
11.877 1.529 8.518
12.109 5.333 5.581
1.588 3.405 6.280
3.322 5.131 9.107
3.482 1.754 3.526
5.216 0.028 0.698
8.391 6.726 6.280
10.125 5.000 9.107
10.285 1.623 3.526
12.019 3.349 0.698
0.058 2.189 3.464
2.478 0.040 6.251
4.326 3.417 0.670
6.745 5.566 9.046
6.861 1.188 3.464
9.281 3.336 6.251
11.129 6.713 0.670
13.549 4.565 9.046
0.075 3.623 7.548
0.219 3.354 4.768
1.383 5.562 9.301
1.479 1.453 6.571
1.491 5.400 5.834
1.520 1.217 3.253
2.903 3.795 7.645
2.986 3.078 4.866
3.225 3.661 10.456
3.291 3.133 2.074
3.513 6.510 7.656
3.578 0.284 4.875
3.818 6.455 10.447
3.900 0.418 2.063
5.283 4.594 8.834
5.313 2.023 0.253
5.325 4.830 0.989
5.421 2.185 3.720
6.584 6.731 10.349
6.728 0.246 1.966
6.878 6.508 7.548
7.022 0.023 4.768
8.186 4.569 9.301
8.282 1.924 6.571
8.294 4.731 5.834
8.323 2.160 3.253
9.706 6.336 7.645
9.789 0.299 4.866
10.028 6.470 10.456
10.094 0.244 2.074
10.316 3.621 7.656
10.382 3.093 4.875
10.621 3.676 10.447
10.703 2.959 2.063
12.087 5.537 8.834
12.116 1.354 0.253
12.128 5.301 0.989
12.224 1.192 3.720
13.388 3.400 10.349
13.532 3.131 1.966

Tl8Os8O27 | the Materials Project | PBE-GGA | relaxed; MP2020-corrected energy = -300.94 eV per cell; energy of formation = -131.54 kJ per mole of atoms; E = -282.39 eV per cell
1.0
7.374 0.000 0.000
0.000 7.374 0.000
0.000 0.000 10.443
Tl Os O
8 8 27
Cartesian
0.000 1.746 3.993
0.000 5.628 3.993
1.746 0.000 6.449
1.837 3.687 1.330
3.687 1.837 9.112
3.687 5.538 9.112
5.538 3.687 1.330
5.628 0.000 6.449
0.000 1.842 9.148
0.000 5.532 9.148
1.842 0.000 1.294
1.842 3.687 6.537
3.687 1.842 3.906
3.687 5.532 3.906
5.532 0.000 1.294
5.532 3.687 6.537
0.000 0.000 1.812
0.000 0.000 8.631
0.000 3.687 2.595
0.000 3.687 5.947
0.000 3.687 9.899
1.434 2.305 7.873
1.434 5.069 7.873
1.466 1.466 0.000
1.466 5.909 0.000
2.305 1.434 2.570
2.305 5.940 2.570
2.332 2.332 5.221
2.332 5.042 5.221
3.687 0.000 0.543
3.687 0.000 4.495
3.687 0.000 7.848
3.687 3.687 0.000
3.687 3.687 3.125
3.687 3.687 7.318
5.042 2.332 5.221
5.042 5.042 5.221
5.069 1.434 2.570
5.069 5.940 2.570
5.909 1.466 0.000
5.909 5.909 0.000
5.940 2.305 7.873
5.940 5.069 7.873

SrAlO3 | the Materials Project | PBE-GGA | relaxed; MP2020-corrected energy = -35.44 eV per cell; energy of formation = -292.57 kJ per mole of atoms; E = -33.38 eV per cell
1.0
3.836 0.000 0.000
0.000 3.836 0.000
0.000 0.000 3.836
Sr Al O
1 1 3
Cartesian
0.000 0.000 0.000
1.918 1.918 1.918
0.000 1.918 1.918
1.918 0.000 1.918
1.918 1.918 0.000

Gd3Ni19B10 | the Materials Project | PBE-GGA | relaxed; energy of formation = -39.85 kJ per mole of atoms; E = -232.06 eV per cell
1.0
6.556 -4.354 0.000
6.556 4.354 0.000
-0.141 0.000 5.755
Gd Ni B
3 19 10
Cartesian
0.000 0.000 0.000
4.823 0.000 3.522
8.148 0.000 2.233
-0.071 0.000 2.877
3.650 2.062 1.734
4.741 2.175 5.330
2.036 0.000 4.037
2.357 0.000 1.561
6.129 2.103 1.733
6.842 2.103 4.022
4.940 0.000 0.712
8.230 2.175 0.425
9.321 2.062 4.021
3.650 -2.062 1.734
4.741 -2.175 5.330
8.031 0.000 5.043
6.129 -2.103 1.733
6.842 -2.103 4.022
10.614 0.000 4.194
10.935 0.000 1.717
8.230 -2.175 0.425
9.321 -2.062 4.021
4.927 2.772 3.272
3.081 0.893 5.612
8.045 2.772 2.483
3.081 -0.893 5.612
6.556 1.017 0.000
6.556 -1.017 0.000
9.891 0.893 0.142
4.927 -2.772 3.272
9.891 -0.893 0.142
8.045 -2.772 2.483